{"formula": "Li2NiGeO4", "functional": "PBE with a Hubbard U", "state": "relaxed", "lattice": [[11.004, 0.000, 0.000], [0.000, 6.471, 0.000], [0.000, 0.000, 5.055]], "species": ["Li", "Li", "Li", "Li", "Li", "Li", "Li", "Li", "Ni", "Ni", "Ni", "Ni", "Ge", "Ge", "Ge", "Ge", "O", "O", "O", "O", "O", "O", "O", "O", "O", "O", "O", "O", "O", "O", "O", "O"], "fractional_positions": [[0.088, 0.002, 0.178], [0.088, 0.498, 0.178], [0.412, 0.502, 0.678], [0.412, 0.998, 0.678], [0.588, 0.002, 0.322], [0.588, 0.498, 0.322], [0.912, 0.502, 0.822], [0.912, 0.998, 0.822], [0.163, 0.250, 0.681], [0.337, 0.750, 0.181], [0.663, 0.250, 0.819], [0.837, 0.750, 0.319], [0.165, 0.750, 0.671], [0.335, 0.250, 0.171], [0.665, 0.750, 0.829], [0.835, 0.250, 0.329], [0.091, 0.522, 0.780], [0.091, 0.978, 0.780], [0.167, 0.750, 0.317], [0.182, 0.250, 0.286], [0.318, 0.750, 0.786], [0.333, 0.250, 0.817], [0.409, 0.022, 0.280], [0.409, 0.478, 0.280], [0.591, 0.522, 0.720], [0.591, 0.978, 0.720], [0.667, 0.750, 0.183], [0.682, 0.250, 0.214], [0.818, 0.750, 0.714], [0.833, 0.250, 0.683], [0.909, 0.022, 0.220], [0.909, 0.478, 0.220]], "total_magnetization_mub_per_cell": 8.0, "crystal_system": "orthorhombic", "e_form_ev_per_atom": -2.026}



{"formula": "Li3V2Ge2O10", "functional": "PBE with a Hubbard U", "state": "relaxed", "lattice": [[4.628, -4.650, 0.000], [4.628, 4.650, 0.000], [0.000, 0.000, 9.280]], "species": ["Li", "Li", "Li", "Li", "Li", "Li", "V", "V", "V", "V", "Ge", "Ge", "Ge", "Ge", "O", "O", "O", "O", "O", "O", "O", "O", "O", "O", "O", "O", "O", "O", "O", "O", "O", "O", "O", "O"], "fractional_positions": [[0.000, 0.000, 0.000], [0.000, 0.500, 0.000], [0.000, 0.500, 0.500], [0.500, 0.000, 0.000], [0.500, 0.000, 0.500], [0.500, 0.500, 0.500], [0.242, 0.758, 0.697], [0.258, 0.742, 0.197], [0.742, 0.258, 0.803], [0.758, 0.242, 0.303], [0.249, 0.251, 0.750], [0.251, 0.249, 0.250], [0.749, 0.751, 0.750], [0.751, 0.749, 0.250], [0.033, 0.248, 0.864], [0.034, 0.261, 0.364], [0.232, 0.768, 0.876], [0.239, 0.466, 0.136], [0.248, 0.033, 0.136], [0.252, 0.467, 0.636], [0.261, 0.034, 0.636], [0.268, 0.732, 0.376], [0.466, 0.239, 0.864], [0.467, 0.252, 0.364], [0.533, 0.748, 0.636], [0.534, 0.761, 0.136], [0.732, 0.268, 0.624], [0.739, 0.966, 0.364], [0.748, 0.533, 0.364], [0.752, 0.967, 0.864], [0.761, 0.534, 0.864], [0.768, 0.232, 0.124], [0.966, 0.739, 0.636], [0.967, 0.752, 0.136]], "total_magnetization_mub_per_cell": 2.0, "crystal_system": "orthorhombic", "e_form_ev_per_atom": -2.294}



{"formula": "LiVGeO5", "functional": "PBE with a Hubbard U", "state": "relaxed", "lattice": [[4.571, -4.664, 0.000], [4.571, 4.664, 0.000], [0.000, 0.000, 4.645]], "species": ["Li", "Li", "V", "V", "Ge", "Ge", "O", "O", "O", "O", "O", "O", "O", "O", "O", "O"], "fractional_positions": [[0.000, 0.500, 0.000], [0.500, 0.000, 0.000], [0.250, 0.750, 0.615], [0.750, 0.250, 0.385], [0.250, 0.250, 0.500], [0.750, 0.750, 0.500], [0.031, 0.257, 0.274], [0.243, 0.469, 0.726], [0.250, 0.750, 0.263], [0.257, 0.031, 0.726], [0.469, 0.243, 0.274], [0.531, 0.757, 0.726], [0.743, 0.969, 0.274], [0.750, 0.250, 0.737], [0.757, 0.531, 0.274], [0.969, 0.743, 0.726]], "total_magnetization_mub_per_cell": 0.0, "crystal_system": "orthorhombic", "e_above_lowest_polymorph_mev_per_atom": 19, "e_form_ev_per_atom": -2.245}



{"formula": "LiVGeO5", "functional": "PBE with a Hubbard U", "state": "relaxed", "lattice": [[4.762, 0.000, 0.000], [0.000, 6.460, 0.000], [-0.309, 0.000, 6.565]], "species": ["Li", "Li", "V", "V", "Ge", "Ge", "O", "O", "O", "O", "O", "O", "O", "O", "O", "O"], "fractional_positions": [[0.000, 0.000, 0.000], [0.000, 0.500, 0.000], [0.386, 0.250, 0.746], [0.614, 0.750, 0.254], [0.497, 0.750, 0.756], [0.503, 0.250, 0.244], [0.247, 0.250, 0.040], [0.272, 0.750, 0.214], [0.276, 0.530, 0.771], [0.276, 0.970, 0.771], [0.321, 0.250, 0.472], [0.679, 0.750, 0.528], [0.724, 0.030, 0.229], [0.724, 0.470, 0.229], [0.728, 0.250, 0.786], [0.753, 0.750, 0.960]], "total_magnetization_mub_per_cell": 0.0, "crystal_system": "monoclinic", "e_above_lowest_polymorph_mev_per_atom": 0, "e_form_ev_per_atom": -2.264}



{"formula": "LiVGe2O6", "functional": "PBE with a Hubbard U", "state": "relaxed", "lattice": [[9.808, 0.000, 0.000], [0.000, 8.876, 0.000], [-1.358, 0.000, 5.302]], "species": ["Li", "Li", "Li", "Li", "V", "V", "V", "V", "Ge", "Ge", "Ge", "Ge", "Ge", "Ge", "Ge", "Ge", "O", "O", "O", "O", "O", "O", "O", "O", "O", "O", "O", "O", "O", "O", "O", "O", "O", "O", "O", "O", "O", "O", "O", "O"], "fractional_positions": [[0.243, 0.015, 0.459], [0.243, 0.485, 0.959], [0.757, 0.515, 0.041], [0.757, 0.985, 0.541], [0.248, 0.656, 0.459], [0.248, 0.844, 0.959], [0.752, 0.156, 0.041], [0.752, 0.344, 0.541], [0.052, 0.159, 0.819], [0.052, 0.341, 0.319], [0.455, 0.157, 0.237], [0.455, 0.343, 0.737], [0.545, 0.657, 0.263], [0.545, 0.843, 0.763], [0.948, 0.659, 0.681], [0.948, 0.841, 0.181], [0.112, 0.189, 0.153], [0.112, 0.311, 0.653], [0.132, 0.502, 0.240], [0.132, 0.998, 0.740], [0.135, 0.667, 0.747], [0.135, 0.833, 0.247], [0.358, 0.666, 0.176], [0.358, 0.834, 0.676], [0.383, 0.520, 0.674], [0.383, 0.980, 0.174], [0.384, 0.210, 0.495], [0.384, 0.290, 0.995], [0.616, 0.710, 0.005], [0.616, 0.790, 0.505], [0.617, 0.020, 0.826], [0.617, 0.480, 0.326], [0.642, 0.166, 0.324], [0.642, 0.334, 0.824], [0.865, 0.167, 0.753], [0.865, 0.333, 0.253], [0.868, 0.002, 0.260], [0.868, 0.498, 0.760], [0.888, 0.689, 0.347], [0.888, 0.811, 0.847]], "total_magnetization_mub_per_cell": 8.0, "crystal_system": "monoclinic", "e_form_ev_per_atom": -2.291}



{"formula": "MgMn2Ge4O12", "functional": "PBE with a Hubbard U", "state": "relaxed", "lattice": [[5.004, -4.382, 0.000], [5.004, 4.382, 0.000], [-1.838, 0.000, 5.398]], "species": ["Mg", "Mn", "Mn", "Ge", "Ge", "Ge", "Ge", "O", "O", "O", "O", "O", "O", "O", "O", "O", "O", "O", "O"], "fractional_positions": [[0.000, 0.000, 0.000], [0.632, 0.368, 0.000], [0.809, 0.191, 0.500], [0.114, 0.485, 0.023], [0.338, 0.072, 0.489], [0.515, 0.886, 0.977], [0.928, 0.662, 0.511], [0.060, 0.672, 0.833], [0.075, 0.163, 0.404], [0.104, 0.643, 0.317], [0.328, 0.940, 0.167], [0.351, 0.346, 0.005], [0.357, 0.896, 0.683], [0.537, 0.243, 0.591], [0.654, 0.649, 0.995], [0.703, 0.075, 0.081], [0.757, 0.463, 0.409], [0.837, 0.925, 0.596], [0.925, 0.297, 0.919]], "total_magnetization_mub_per_cell": 8.0, "crystal_system": "monoclinic", "e_form_ev_per_atom": -2.145}



{"formula": "Mg3Ge3Mo2O12", "functional": "PBE with a Hubbard U", "state": "relaxed", "lattice": [[-6.181, 6.181, 6.181], [6.181, -6.181, 6.181], [6.181, 6.181, -6.181]], "species": ["Mg", "Mg", "Mg", "Mg", "Mg", "Mg", "Mg", "Mg", "Mg", "Mg", "Mg", "Mg", "Ge", "Ge", "Ge", "Ge", "Ge", "Ge", "Ge", "Ge", "Ge", "Ge", "Ge", "Ge", "Mo", "Mo", "Mo", "Mo", "Mo", "Mo", "Mo", "Mo", "O", "O", "O", "O", "O", "O", "O", "O", "O", "O", "O", "O", "O", "O", "O", "O", "O", "O", "O", "O", "O", "O", "O", "O", "O", "O", "O", "O", "O", "O", "O", "O", "O", "O", "O", "O", "O", "O", "O", "O", "O", "O", "O", "O", "O", "O", "O", "O"], "fractional_positions": [[0.125, 0.250, 0.375], [0.125, 0.375, 0.750], [0.250, 0.375, 0.125], [0.250, 0.875, 0.625], [0.375, 0.125, 0.250], [0.375, 0.750, 0.125], [0.625, 0.250, 0.875], [0.625, 0.875, 0.750], [0.750, 0.125, 0.375], [0.750, 0.625, 0.875], [0.875, 0.625, 0.250], [0.875, 0.750, 0.625], [0.125, 0.750, 0.875], [0.125, 0.875, 0.250], [0.250, 0.125, 0.875], [0.250, 0.625, 0.375], [0.375, 0.250, 0.625], [0.375, 0.625, 0.750], [0.625, 0.375, 0.250], [0.625, 0.750, 0.375], [0.750, 0.375, 0.625], [0.750, 0.875, 0.125], [0.875, 0.125, 0.750], [0.875, 0.250, 0.125], [0.000, 0.000, 0.000], [0.000, 0.000, 0.500], [0.000, 0.500, 0.000], [0.000, 0.500, 0.500], [0.500, 0.000, 0.000], [0.500, 0.000, 0.500], [0.500, 0.500, 0.000], [0.500, 0.500, 0.500], [0.030, 0.219, 0.132], [0.030, 0.311, 0.898], [0.087, 0.719, 0.689], [0.087, 0.868, 0.398], [0.102, 0.632, 0.413], [0.102, 0.970, 0.689], [0.132, 0.030, 0.219], [0.132, 0.602, 0.913], [0.189, 0.219, 0.587], [0.189, 0.470, 0.602], [0.219, 0.132, 0.030], [0.219, 0.587, 0.189], [0.281, 0.311, 0.913], [0.281, 0.470, 0.368], [0.311, 0.898, 0.030], [0.311, 0.913, 0.281], [0.368, 0.281, 0.470], [0.368, 0.587, 0.898], [0.398, 0.087, 0.868], [0.398, 0.811, 0.530], [0.413, 0.102, 0.632], [0.413, 0.811, 0.781], [0.470, 0.368, 0.281], [0.470, 0.602, 0.189], [0.530, 0.398, 0.811], [0.530, 0.632, 0.719], [0.587, 0.189, 0.219], [0.587, 0.898, 0.368], [0.602, 0.189, 0.470], [0.602, 0.913, 0.132], [0.632, 0.413, 0.102], [0.632, 0.719, 0.530], [0.689, 0.087, 0.719], [0.689, 0.102, 0.970], [0.719, 0.530, 0.632], [0.719, 0.689, 0.087], [0.781, 0.413, 0.811], [0.781, 0.868, 0.970], [0.811, 0.530, 0.398], [0.811, 0.781, 0.413], [0.868, 0.398, 0.087], [0.868, 0.970, 0.781], [0.898, 0.030, 0.311], [0.898, 0.368, 0.587], [0.913, 0.132, 0.602], [0.913, 0.281, 0.311], [0.970, 0.689, 0.102], [0.970, 0.781, 0.868]], "total_magnetization_mub_per_cell": 24.0, "crystal_system": "cubic", "e_form_ev_per_atom": -2.302}



{"formula": "MgVGe2O6", "functional": "PBE with a Hubbard U", "state": "relaxed", "lattice": [[9.900, 0.000, 0.000], [0.000, 9.201, 0.000], [-1.346, 0.000, 5.323]], "species": ["Mg", "Mg", "Mg", "Mg", "V", "V", "V", "V", "Ge", "Ge", "Ge", "Ge", "Ge", "Ge", "Ge", "Ge", "O", "O", "O", "O", "O", "O", "O", "O", "O", "O", "O", "O", "O", "O", "O", "O", "O", "O", "O", "O", "O", "O", "O", "O"], "fractional_positions": [[0.244, 0.013, 0.445], [0.244, 0.487, 0.945], [0.756, 0.513, 0.055], [0.756, 0.987, 0.555], [0.245, 0.657, 0.457], [0.245, 0.843, 0.957], [0.755, 0.157, 0.043], [0.755, 0.343, 0.543], [0.058, 0.162, 0.826], [0.058, 0.338, 0.326], [0.458, 0.157, 0.246], [0.458, 0.343, 0.746], [0.542, 0.657, 0.254], [0.542, 0.843, 0.754], [0.942, 0.662, 0.674], [0.942, 0.838, 0.174], [0.110, 0.177, 0.171], [0.110, 0.323, 0.671], [0.126, 0.658, 0.747], [0.126, 0.842, 0.247], [0.142, 0.018, 0.724], [0.142, 0.482, 0.224], [0.359, 0.657, 0.171], [0.359, 0.843, 0.671], [0.374, 0.510, 0.703], [0.374, 0.990, 0.203], [0.385, 0.212, 0.506], [0.385, 0.288, 0.006], [0.615, 0.712, 0.994], [0.615, 0.788, 0.494], [0.626, 0.010, 0.797], [0.626, 0.490, 0.297], [0.641, 0.157, 0.329], [0.641, 0.343, 0.829], [0.858, 0.518, 0.776], [0.858, 0.982, 0.276], [0.874, 0.158, 0.753], [0.874, 0.342, 0.253], [0.890, 0.677, 0.329], [0.890, 0.823, 0.829]], "total_magnetization_mub_per_cell": 12.0, "crystal_system": "monoclinic", "e_above_lowest_polymorph_mev_per_atom": 10, "e_form_ev_per_atom": -2.348}